Material: DyFe3B4O12
Method: DFT, PBE+U
State: relaxed

Values from the calculation:
- ΔH_f (0 K): -2.58 eV/atom
- DFT total energy: -7.633 eV per atom

Cell and atoms, written as extended XYZ:
```
20
Lattice="4.825 2.786 2.542 -4.825 2.786 2.542 0.000 -5.572 2.542" Properties=species:S:1:pos:R:3 pbc="T T T"
Dy 0.000 0.000 0.000
Fe -2.641 -0.997 2.542
Fe -2.641 0.997 5.084
Fe 0.457 2.786 2.542
B -2.181 -3.777 3.813
B 0.000 0.000 3.813
B -2.181 3.777 3.813
B 4.362 0.000 3.813
O -2.927 -2.616 3.700
O -3.907 0.000 3.813
O -0.802 -3.843 3.926
O -1.384 0.000 3.813
O -2.927 2.616 3.926
O 1.954 -3.384 3.813
O 0.692 -1.199 3.813
O -0.802 3.843 3.700
O 0.692 1.199 3.813
O 3.729 -1.227 3.700
O 1.954 3.384 3.813
O 3.729 1.227 3.926
```


Material: Fe4O3F5
Method: DFT, PBE+U
State: relaxed

Values from the calculation:
- ΔH_f (0 K): -2.15 eV/atom
- DFT total energy: -5.888 eV per atom

Cell and atoms, written as extended XYZ:
```
24
Lattice="4.781 0.000 0.000 -0.082 7.839 0.000 -0.085 -1.996 7.601" Properties=species:S:1:pos:R:3 pbc="T T T"
Fe 0.000 0.000 0.000
Fe -0.065 2.917 3.794
Fe 2.032 3.172 6.675
Fe 2.199 5.529 4.632
Fe 2.444 0.323 2.972
Fe 2.600 2.667 0.942
Fe 4.441 0.315 5.708
Fe 4.601 5.299 1.608
O 0.815 6.020 0.181
O 1.373 3.819 4.925
O 3.176 4.480 0.631
O 3.187 -0.546 4.495
O 3.261 2.014 2.658
O 3.701 -0.239 7.339
F 0.828 0.949 4.042
F 0.861 3.612 1.949
F 0.872 -1.348 5.771
F 1.248 6.239 2.978
F 1.257 1.269 6.768
F 1.433 0.902 1.221
F 3.157 4.922 6.361
F 3.618 7.119 1.737
F 3.668 2.150 5.537
F 3.703 4.812 3.446
```


Material: Li9Mn2Co5O16
Method: DFT, PBE+U
State: relaxed

Values from the calculation:
- ΔH_f (0 K): -1.83 eV/atom
- DFT total energy: -5.816 eV per atom

Cell and atoms, written as extended XYZ:
```
32
Lattice="9.741 -2.868 0.000 9.741 2.868 0.000 -0.754 0.000 5.164" Properties=species:S:1:pos:R:3 pbc="T T T"
Li 0.000 0.000 0.000
Li 6.941 1.449 3.889
Li 4.625 0.000 2.512
Li 11.968 1.422 1.235
Li 9.010 0.000 5.104
Li 6.941 -1.449 3.889
Li 14.405 0.000 2.538
Li 11.968 -1.422 1.235
Li 16.972 0.000 1.275
Mn 4.225 1.441 5.155
Mn 4.225 -1.441 5.155
Co 1.893 0.000 3.795
Co 9.388 1.432 2.489
Co 7.211 0.000 1.251
Co 11.669 0.000 3.844
Co 9.388 -1.432 2.489
O 1.017 0.000 1.951
O 5.888 1.364 1.658
O 3.765 0.000 0.554
O 8.463 1.346 0.749
O 5.323 0.000 4.456
O 10.485 1.401 4.400
O 8.137 0.000 3.177
O 12.962 1.395 3.408
O 5.888 -1.364 1.658
O 10.692 0.000 1.954
O 8.463 -1.346 0.749
O 13.568 0.000 0.633
O 15.090 0.000 4.489
O 10.485 -1.401 4.400
O 12.962 -1.395 3.408
O 18.014 0.000 3.235
```


Material: Ca4Mn4O11
Method: DFT, PBE+U
State: relaxed

Values from the calculation:
- ΔH_f (0 K): -2.52 eV/atom
- DFT total energy: -6.990 eV per atom

Cell and atoms, written as extended XYZ:
```
38
Lattice="7.549 0.000 0.000 0.000 5.479 0.000 -0.026 0.000 10.865" Properties=species:S:1:pos:R:3 pbc="T T T"
Ca -0.005 0.000 4.162
Ca 0.079 2.573 1.247
Ca 3.637 2.131 1.319
Ca 3.647 5.137 4.133
Ca 3.876 2.398 6.732
Ca 3.886 4.871 9.546
Ca 7.444 5.313 9.618
Ca 7.527 2.740 6.703
Mn 1.838 5.153 1.390
Mn 1.847 2.504 4.032
Mn 1.854 2.522 9.526
Mn 1.865 5.178 6.730
Mn 5.658 2.438 4.135
Mn 5.668 5.262 1.340
Mn 5.676 5.244 6.833
Mn 5.684 2.413 9.475
O 0.026 5.126 7.294
O 0.039 2.256 8.979
O 1.497 3.987 10.789
O 1.550 4.007 5.151
O 1.599 1.156 0.094
O 1.583 1.336 5.660
O 2.147 0.923 2.878
O 2.241 3.621 2.511
O 2.253 3.720 8.018
O 3.745 5.434 6.450
O 3.745 2.410 9.875
O 3.777 5.150 0.990
O 3.777 2.694 4.415
O 5.269 0.980 2.848
O 5.281 0.882 8.354
O 5.376 3.662 7.988
O 5.924 3.896 10.772
O 5.939 4.075 5.205
O 5.972 1.268 5.715
O 6.025 1.248 0.077
O 7.484 4.996 1.887
O 7.497 2.386 3.571
```